[1]
Li4Ti5VO12 | r²SCAN | relaxed

## Properties
Density = 3.7 g/cm³
Total magnetic moment = 4.95 μB per cell
ΔH_f (0 K) = -2.87 eV per atom

Cell: 5.1258 5.1258 10.1931 Å, 90.10 90.10 120.59°
Fractional positions:
Li (0.1484, 0.6608, 0.7506)
Li (0.3392, 0.8516, 0.2494)
Li (0.6608, 0.1484, 0.7506)
Li (0.8516, 0.3392, 0.2494)
Ti (0.1605, 0.8395, 0.5000)
Ti (0.3392, 0.6608, 0.0000)
Ti (0.5000, 0.5000, 0.5000)
Ti (0.6608, 0.3392, 0.0000)
Ti (0.8395, 0.1605, 0.5000)
V (0.0000, 0.0000, 0.0000)
O (0.0067, 0.6488, 0.1086)
O (0.1585, 0.5075, 0.3914)
O (0.1601, 0.1601, 0.6041)
O (0.3469, 0.3469, 0.1026)
O (0.3512, 0.9933, 0.8914)
O (0.4925, 0.8415, 0.6086)
O (0.5075, 0.1585, 0.3914)
O (0.6488, 0.0067, 0.1086)
O (0.6531, 0.6531, 0.8974)
O (0.8399, 0.8399, 0.3959)
O (0.8415, 0.4925, 0.6086)
O (0.9933, 0.3512, 0.8914)

=====

[2]
LuSnIr | r²SCAN | relaxed

## Properties
Density = 13.3 g/cm³
Total magnetic moment = 0.00 μB per cell
ΔH_f (0 K) = -0.95 eV per atom

Cell: 7.4737 7.4737 3.7497 Å, 90.00 90.00 120.00°
Fractional positions:
Lu (0.0000, 0.4025, 0.0000)
Lu (0.4025, 0.0000, 0.0000)
Lu (0.5975, 0.5975, 0.0000)
Sn (0.0000, 0.7341, 0.5000)
Sn (0.2659, 0.2659, 0.5000)
Sn (0.7341, 0.0000, 0.5000)
Ir (0.0000, 0.0000, 0.0000)
Ir (0.3333, 0.6667, 0.5000)
Ir (0.6667, 0.3333, 0.5000)

=====

[3]
Zr2TcNi | r²SCAN | relaxed

## Properties
Density = 8.3 g/cm³
Total magnetic moment = 0.00 μB per cell
ΔH_f (0 K) = -0.41 eV per atom

Cell: 4.5823 4.5823 4.5823 Å, 60.00 60.00 60.00°
Fractional positions:
Zr (0.2500, 0.2500, 0.2500)
Zr (0.7500, 0.7500, 0.7500)
Tc (0.0000, 0.0000, 0.0000)
Ni (0.5000, 0.5000, 0.5000)

=====

> Among the records above, which one has the highest ΔH_f (0 K)?

Zr2TcNi